Entry 1:
Compound: LiO8
Source: the Materials Project
Functional: GGA-PBE
Structure: optimized geometry

The structure in POSCAR format:
```
LiO8
1.0
4.6803 0.0307 1.9160
1.9826 4.4531 1.5412
0.5697 -0.3405 5.0691
Li O
1 8
direct
0.4955 0.8037 0.8037
0.8421 0.3334 0.8204
0.1506 0.2333 0.6996
0.1506 0.6996 0.2333
0.8421 0.8204 0.3334
0.8380 0.2558 0.2558
0.1537 0.7412 0.7412
0.1421 0.1525 0.1525
0.8436 0.8648 0.8648
```

Computed properties:
* crystal system: monoclinic
* energy relative to the lowest polymorph listed for this composition: 0.0 meV/atom
* calculated volume: 102 Å³/cell
* calculated formation energy: -3.8 eV/f.u.
* E: -4.8942 eV/atom


Entry 2:
Compound: LiO8
Source: the Materials Project
Functional: GGA-PBE
Structure: optimized geometry

The structure in POSCAR format:
```
LiO8
1.0
-2.9767 -2.1531 -2.3169
2.4273 -3.1112 -3.2175
-0.2958 -4.7515 1.8054
Li O
1 8
direct
0.5000 0.5000 0.5000
0.8430 0.2958 0.7663
0.1570 0.2337 0.7042
0.1570 0.7042 0.2337
0.8430 0.7663 0.2958
0.8399 0.2244 0.2244
0.1601 0.7756 0.7756
0.1505 0.1630 0.1630
0.8495 0.8370 0.8370
```

Computed properties:
* crystal system: monoclinic
* energy relative to the lowest polymorph listed for this composition: 9.2 meV/atom
* calculated volume: 98 Å³/cell
* calculated formation energy: -3.8 eV/f.u.
* E: -4.8850 eV/atom


Entry 3:
Compound: Li2O
Source: the Materials Project
Functional: GGA-PBE
Structure: optimized geometry

The structure in POSCAR format:
```
Li2O
1.0
10.1167 -0.1049 -0.1390
-0.1193 9.6995 -0.5445
-0.1333 -0.5558 10.0428
Li O
68 34
direct
0.9038 0.7203 0.8854
0.1686 0.3975 0.0133
0.8029 0.3190 0.4361
0.1768 0.5201 0.8096
0.7620 0.7080 0.0876
0.9781 0.9265 0.9604
0.1159 0.2508 0.6310
0.4527 0.8292 0.9002
0.2291 0.6384 0.6265
0.8474 0.4793 0.1908
0.6793 0.3085 0.9245
0.8114 0.0751 0.9164
0.4609 0.5559 0.9137
0.2526 0.1391 0.4079
0.2488 0.3834 0.5200
0.7989 0.5615 0.4222
0.5610 0.6716 0.3483
0.4460 0.0491 0.0057
0.3186 0.5684 0.1720
0.7652 0.0799 0.4381
0.2168 0.0241 0.9907
0.2348 0.7115 0.9649
0.4087 0.3720 0.6835
0.6152 0.5141 0.1562
0.2062 0.9992 0.5846
0.4205 0.9892 0.6762
0.6748 0.5620 0.8888
0.2435 0.1524 0.8031
0.8986 0.7489 0.2731
0.5501 0.0603 0.2910
0.4740 0.7778 0.1221
0.5647 0.9103 0.4853
0.0828 0.4686 0.2562
0.6690 0.8605 0.9049
0.0358 0.6241 0.0403
0.9908 0.5995 0.6983
0.1027 0.7799 0.4591
0.9548 0.0911 0.7213
0.0479 0.1712 0.9321
0.9097 0.4313 0.8922
0.7734 0.6772 0.6620
0.6667 0.9274 0.7011
0.6904 0.4171 0.7138
0.7763 0.1727 0.6592
0.5491 0.1645 0.7591
0.5948 0.3964 0.3576
0.8812 0.2898 0.0328
0.8051 0.2247 0.2123
0.2025 0.8540 0.7814
0.3552 0.9666 0.2059
0.9843 0.8430 0.7175
0.9931 0.0230 0.4261
0.3254 0.2754 0.2026
0.4433 0.7232 0.6122
0.6837 0.8395 0.2808
0.3159 0.8255 0.4037
0.8054 0.8150 0.4901
0.9048 0.9650 0.1818
0.0878 0.2163 0.1729
0.0291 0.2994 0.4232
0.0273 0.5434 0.4744
0.3326 0.5357 0.3892
0.5928 0.2336 0.5043
0.3832 0.3428 0.9549
0.9190 0.3693 0.6550
0.5815 0.2489 0.1733
0.1327 0.8161 0.2292
0.5604 0.5534 0.5612
0.9383 0.1120 0.0784
0.6247 0.7490 0.5620
0.9223 0.4241 0.3513
0.2968 0.1891 0.6276
0.7357 0.6476 0.2587
0.1876 0.6497 0.3162
0.5405 0.3796 0.8291
0.6241 0.0769 0.5929
0.2935 0.5283 0.9746
0.0954 0.4457 0.6304
0.7154 0.3519 0.0988
0.4371 0.1317 0.1762
0.6740 0.2027 0.3357
0.8275 0.8925 0.8182
0.3233 0.8732 0.0288
0.8400 0.9271 0.3499
0.4673 0.4994 0.2648
0.2322 0.2212 0.9892
0.8257 0.5515 0.7907
0.2988 0.8358 0.6171
0.8477 0.2409 0.8302
0.1023 0.0171 0.7994
0.1900 0.3010 0.3328
0.6828 0.4202 0.5341
0.4954 0.8642 0.3072
0.3789 0.5301 0.5820
0.9354 0.1809 0.5504
0.0025 0.4411 0.0615
0.1667 0.9562 0.3855
0.9453 0.7859 0.0909
0.5895 0.7075 0.9802
0.9455 0.7109 0.5513
0.0976 0.7028 0.8321
0.5325 0.9905 0.8434
```

Computed properties:
* crystal system: triclinic
* energy relative to the lowest polymorph listed for this composition: 149.7 meV/atom
* calculated volume: 982 Å³/cell
* calculated formation energy: -5.7 eV/f.u.
* E: -4.6048 eV/atom


Q: Among the records above, which one has the highest energy relative to the lowest polymorph listed for this composition?
A: Li2O